A plane-wave DFT calculation with GGA+U was carried out for Fe5NiP6O24 after structural relaxation.

Cell lengths 8.4265, 8.4265, 8.4265 Å; angles 62.02, 62.02, 62.02 degrees
Last column: nearest neighbours and their distance in Å.
Element x y z (fractional)
Fe 0.0000 0.0000 0.0000  6 O 1.92-2.12
Fe 0.1464 0.1464 0.1464  6 O 2.09-2.10
Fe 0.2936 0.2936 0.2936  6 O 1.92-2.14
Fe 0.6448 0.6448 0.6448  6 O 2.07-2.12
Fe 0.7921 0.7921 0.7921  6 O 1.93-2.13
Ni 0.5030 0.5030 0.5030  6 O 1.97-2.11
P 0.1001 0.3972 0.6945  4 O 1.51-1.59
P 0.1946 0.8960 0.5987  4 O 1.53-1.58
P 0.3972 0.6945 0.1001  4 O 1.51-1.59
P 0.5987 0.1946 0.8960  4 O 1.53-1.58
P 0.6945 0.1001 0.3972  4 O 1.51-1.59
P 0.8960 0.5987 0.1946  4 O 1.53-1.58
O 0.0394 0.8218 0.6426  1 P 1.53
O 0.0513 0.3963 0.2072  1 P 1.58
O 0.0811 0.2421 0.8985  1 P 1.59
O 0.1424 0.3233 0.5394  1 P 1.53
O 0.1491 0.9718 0.7532  1 P 1.53
O 0.2072 0.0513 0.3963  1 P 1.58
O 0.2421 0.8985 0.0811  1 P 1.59
O 0.2533 0.4670 0.6584  1 P 1.51
O 0.3233 0.5394 0.1424  1 P 1.53
O 0.3963 0.2072 0.0513  1 P 1.58
O 0.3963 0.7445 0.5855  1 P 1.57
O 0.4670 0.6584 0.2533  1 P 1.51
O 0.5394 0.1424 0.3233  1 P 1.53
O 0.5499 0.7087 0.8958  1 P 1.58
O 0.5855 0.3963 0.7445  1 P 1.57
O 0.6426 0.0394 0.8218  1 P 1.53
O 0.6584 0.2533 0.4670  1 P 1.51
O 0.7087 0.8958 0.5499  1 P 1.58
O 0.7445 0.5855 0.3963  1 P 1.57
O 0.7532 0.1491 0.9718  1 P 1.53
O 0.8218 0.6426 0.0394  1 P 1.53
O 0.8958 0.5499 0.7087  1 P 1.58
O 0.8985 0.0811 0.2421  1 P 1.59
O 0.9718 0.7532 0.1491  1 P 1.53

Properties
M_tot = 0.74 μB/atom
ΔE_f = -79.958 eV per formula unit
Density = 3.41 g cm⁻³
Crystal system = trigonal